1.
Er3CuSiS7 | r2SCAN | relaxed

a b c (Å): 9.7689 9.7689 5.6796
angles (deg): 90.00 90.00 120.00
Last column: nearest neighbours and their distance in Å.
Space group P6_3 (No. 173)
One atom of each set of equivalent atoms:
Er  0.1312  0.3577  0.0000 [6 per cell]  7 S 2.72-2.98
Cu  0.0000  0.0000  0.4481 [2 per cell]  3 S 2.22
Si  0.3333  0.6667  0.5891 [2 per cell]  4 S 2.10-2.13
S  0.0975  0.2590  0.4658 [6 per cell]  1 Cu 2.22
S  0.1049  0.5814  0.7394 [6 per cell]  1 Si 2.13
S  0.3333  0.6667  0.2193 [2 per cell]  1 Si 2.10

Summary:
Its total energy is -16.53 eV per atom.

=====

2.
Er3Cu3Sb4 | r2SCAN | relaxed

a b c (Å): 9.4913 9.4913 9.4913
angles (deg): 90.00 90.00 90.00
Last column: nearest neighbours and their distance in Å.
Space group I-43d (No. 220)
One atom of each set of equivalent atoms:
Er  0.0000  0.2500  0.8750 [12 per cell]  4 Cu 2.91, 4 Sb 3.24
Cu  0.0000  0.2500  0.3750 [12 per cell]  4 Sb 2.63, 4 Er 2.91
Sb  0.0788  0.4212  0.5788 [16 per cell]  3 Cu 2.63

Summary:
Its total energy is -24.50 eV per atom.

=====

3.
ErCuSb2 | r2SCAN | relaxed

a b c (Å): 4.2741 4.2741 9.7710
angles (deg): 90.00 90.00 90.00
Last column: nearest neighbours and their distance in Å.
Space group P4/nmm (No. 129, origin choice 2)
One atom of each set of equivalent atoms:
Er  0.2500  0.2500  0.2471 [2 per cell]  8 Sb 3.16-3.22, 4 Cu 3.27
Cu  0.2500  0.7500  0.5000 [2 per cell]  4 Sb 2.65
Sb  0.2500  0.2500  0.6600 [2 per cell]  4 Cu 2.65
Sb  0.2500  0.7500  0.0000 [2 per cell]  4 Sb 3.02, 4 Er 3.22

Summary:
Its total energy is -24.69 eV per atom.

=====

4.
Er2CuSi3 | r2SCAN | relaxed

a b c (Å): 3.9176 4.0320 13.7355
angles (deg): 90.00 90.00 90.00
Last column: nearest neighbours and their distance in Å.
Space group Imm2 (No. 44)
One atom of each set of equivalent atoms:
Er  0.0000  0.0000  0.0000 [2 per cell]  8 Si 2.98-3.05, 4 Cu 3.07
Er  0.0000  0.5000  0.2562 [2 per cell]  10 Si 3.00-3.09, 2 Cu 3.00
Cu  0.0000  0.0000  0.5902 [2 per cell]  3 Si 2.24-2.27
Si  0.0000  0.0000  0.4271 [2 per cell]  1 Cu 2.24, 2 Si 2.34
Si  0.0000  0.5000  0.6657 [2 per cell]  2 Cu 2.27, 1 Si 2.30
Si  0.0000  0.5000  0.8333 [2 per cell]  3 Si 2.30-2.34

Summary:
Its total energy is -18.25 eV per atom.

=====

5.
Er3Cu4Si4 | r2SCAN | relaxed

a b c (Å): 4.0812 6.4824 13.5043
angles (deg): 90.00 90.00 90.00
Last column: nearest neighbours and their distance in Å.
Space group Immm (No. 71)
One atom of each set of equivalent atoms:
Er  0.0000  0.0000  0.0000 [2 per cell]  6 Si 2.89-2.92
Er  0.0000  0.5000  0.1301 [4 per cell]  6 Cu 2.91-2.97, 6 Si 2.91-2.95
Cu  0.0000  0.3091  0.3303 [8 per cell]  4 Si 2.43-2.53, 1 Cu 2.47
Si  0.0000  0.0000  0.2160 [4 per cell]  6 Cu 2.47-2.53
Si  0.0000  0.1851  0.5000 [4 per cell]  1 Si 2.40, 2 Cu 2.43

Summary:
Its total energy is -17.07 eV per atom.

=====

6.
ErCuSi | r2SCAN | relaxed

a b c (Å): 4.0907 4.0907 7.4018
angles (deg): 90.00 90.00 120.00
Last column: nearest neighbours and their distance in Å.
Space group P6_3/mmc (No. 194)
One atom of each set of equivalent atoms:
Er  0.0000  0.0000  0.0000 [2 per cell]  6 Si 3.00, 6 Cu 3.00
Cu  0.3333  0.6667  0.2500 [2 per cell]  3 Si 2.36
Si  0.3333  0.6667  0.7500 [2 per cell]  3 Cu 2.36

Summary:
Its total energy is -18.58 eV per atom.